1.
NaFe2PbF9 | PBE with a Hubbard U | optimized geometry

a = 7.297 Å, b = 7.297 Å, c = 7.745 Å
α = 88.29°, β = 88.29°, γ = 118.73°
Sites, in units of the cell vectors:
F: 0.514 0.894 0.730
F: 0.890 0.194 0.038
F: 0.975 0.025 0.750
F: 0.709 0.785 0.024
F: 0.215 0.291 0.476
F: 0.569 0.276 0.579
F: 0.894 0.514 0.230
F: 0.486 0.106 0.270
F: 0.785 0.709 0.524
F: 0.110 0.806 0.962
F: 0.291 0.215 0.976
F: 0.025 0.975 0.250
F: 0.194 0.890 0.538
F: 0.806 0.110 0.462
F: 0.431 0.724 0.421
F: 0.724 0.431 0.921
F: 0.276 0.569 0.079
F: 0.106 0.486 0.770
Fe: 0.000 0.000 0.000
Fe: 0.500 0.000 0.500
Fe: 0.000 0.500 0.000
Fe: 0.000 0.000 0.500
Na: 0.000 0.500 0.500
Na: 0.500 0.000 0.000
Pb: 0.527 0.473 0.250
Pb: 0.473 0.527 0.750

=====

2.
Ba6Y2Fe4O15 | PBE with a Hubbard U | optimized geometry

a = 6.072 Å, b = 8.168 Å, c = 18.705 Å
α = 88.90°, β = 90.00°, γ = 90.00°
Sites, in units of the cell vectors:
O: 0.554 0.749 0.338
O: 0.446 0.251 0.662
O: 0.663 0.307 0.320
O: 0.755 0.529 0.590
O: 0.663 0.693 0.180
O: 0.235 0.958 0.109
O: 0.511 0.765 0.002
O: 0.947 0.724 0.807
O: 0.947 0.276 0.693
O: 0.554 0.251 0.162
O: 0.446 0.749 0.838
O: 0.337 0.693 0.680
O: 0.245 0.471 0.410
O: 0.987 0.769 0.493
O: 0.053 0.276 0.193
O: 0.987 0.231 0.007
O: 0.765 0.042 0.891
O: 0.337 0.307 0.820
O: 0.235 0.042 0.391
O: 0.013 0.769 0.993
O: 0.489 0.235 0.998
O: 0.765 0.958 0.609
O: 0.245 0.529 0.090
O: 0.201 0.000 0.750
O: 0.799 0.000 0.250
O: 0.755 0.471 0.910
O: 0.489 0.765 0.502
O: 0.013 0.231 0.507
O: 0.053 0.724 0.307
O: 0.511 0.235 0.498
Ba: 0.751 0.974 0.089
Ba: 0.722 0.000 0.750
Ba: 0.249 0.974 0.589
Ba: 0.673 0.500 0.750
Ba: 0.750 0.501 0.077
Ba: 0.250 0.501 0.577
Ba: 0.250 0.499 0.923
Ba: 0.278 0.000 0.250
Ba: 0.751 0.026 0.411
Ba: 0.750 0.499 0.423
Ba: 0.327 0.500 0.250
Ba: 0.249 0.026 0.911
Fe: 0.746 0.246 0.940
Fe: 0.254 0.246 0.440
Fe: 0.254 0.754 0.060
Fe: 0.774 0.770 0.266
Fe: 0.746 0.754 0.560
Fe: 0.226 0.770 0.766
Fe: 0.226 0.230 0.734
Fe: 0.774 0.230 0.234
Y: 0.748 0.754 0.909
Y: 0.748 0.246 0.591
Y: 0.252 0.246 0.091
Y: 0.252 0.754 0.409

=====

| no. | E_form (eV/atom) |
| --- | --- |
| 1 | -2.72 |
| 2 | -2.74 |